Record 1
Material: BaSrTbCeO6
Method: DFT, PBE
State: relaxed

```
20
Lattice="-4.921 2.364 2.840 -3.565 -4.540 -2.378 1.652 -4.977 6.999" Properties=species:S:1:pos:R:3 pbc="T T T"
O -4.475 0.159 1.628
O -5.242 -4.035 6.586
O -3.083 -5.264 2.930
O -0.841 -3.183 3.967
O -2.359 -7.312 5.832
O -1.592 -3.118 0.875
O -6.649 -1.973 0.748
O -0.185 -5.180 6.712
O -5.993 -3.970 3.493
O -3.751 -1.889 4.530
O -5.059 -4.769 0.564
O -1.774 -2.384 6.896
Ba -2.836 -4.683 5.538
Ba -3.998 -2.470 1.922
Ce -1.782 -2.270 -1.189
Ce -1.635 -1.307 4.919
Sr -2.237 -8.061 2.995
Sr -4.597 0.908 4.465
Tb -2.460 1.182 1.420
Tb -0.956 -4.758 2.310
```

Values from the calculation:
The value obtained for the total magnetization is 2.000 μB per cell. For the energy of formation from the pure elements, the calculation gives -33.7 eV per formula unit. Its total energy is -146.84 eV per cell. The relative energy among the computed polymorphs is 0.0000 eV per atom. Its space-group type is P-1. The volume comes out at 16.8 Å³/atom.

***

Record 2
Material: HoIr
Method: DFT, PBE
State: relaxed

```
2
Lattice="3.413 0.000 0.000 0.000 3.413 0.000 0.000 0.000 3.413" Properties=species:S:1:pos:R:3 pbc="T T T"
Ir 1.707 1.707 1.707
Ho 0.000 0.000 0.000
```

Values from the calculation:
For the energy of formation from the pure elements, the calculation gives -1.8 eV per formula unit. Its total energy is -15.19 eV per cell. Its space-group type is Pm-3m. The volume comes out at 19.9 Å³/atom.

***

Record 3
Material: CsIr
Method: DFT, PBE
State: relaxed

```
2
Lattice="3.175 0.000 0.000 0.000 3.175 0.000 0.000 0.000 5.631" Properties=species:S:1:pos:R:3 pbc="T T T"
Cs 0.000 0.000 0.000
Ir 1.588 1.588 2.815
```

Values from the calculation:
For the energy of formation from the pure elements, the calculation gives 3.2 eV per formula unit. Its total energy is -6.57 eV per cell. Its space-group type is P4/mmm. The volume comes out at 28.4 Å³/atom.

***

Record 4
Material: Tb2Ga9Ru3
Method: DFT, PBE
State: relaxed

```
28
Lattice="3.771 -6.463 0.000 3.771 6.463 0.000 0.000 0.000 9.743" Properties=species:S:1:pos:R:3 pbc="T T T"
Ga 1.291 2.125 0.743
Ga 4.994 0.000 0.584
Ga 4.203 1.366 7.307
Ga 3.339 -1.366 2.436
Ga 2.549 0.000 5.455
Ga 4.203 -1.366 7.307
Ga 1.291 -2.125 0.743
Ga 6.589 0.000 7.307
Ga 6.252 2.125 5.614
Ga 6.252 2.125 9.000
Ga 0.954 0.000 2.436
Ga 4.994 0.000 4.288
Ga 3.339 1.366 2.436
Ga 2.549 0.000 9.160
Ga 6.252 -2.125 5.614
Ga 1.291 -2.125 4.129
Ga 1.291 2.125 4.129
Ga 6.252 -2.125 9.000
Ru 3.771 -2.256 0.000
Ru 0.000 0.000 4.872
Ru 0.000 0.000 0.000
Ru 3.771 2.256 0.000
Ru 3.771 -2.256 4.872
Ru 3.771 2.256 4.872
Tb 6.286 -2.114 2.436
Tb 6.286 2.114 2.436
Tb 1.257 -2.114 7.307
Tb 1.257 2.114 7.307
```

Values from the calculation:
For the energy of formation from the pure elements, the calculation gives -7.6 eV per formula unit. Its total energy is -143.91 eV per cell. Its space-group type is Cmcm. The volume comes out at 17.0 Å³/atom.

***

Record 5
Material: Na2CdPb
Method: DFT, PBE
State: relaxed

```
4
Lattice="0.000 3.752 3.752 3.752 0.000 3.752 3.752 3.752 0.000" Properties=species:S:1:pos:R:3 pbc="T T T"
Cd 5.628 5.628 5.628
Na 1.876 1.876 1.876
Na 3.752 3.752 3.752
Pb 0.000 0.000 0.000
```

Values from the calculation:
For the energy of formation from the pure elements, the calculation gives -0.6 eV per formula unit. Its total energy is -7.89 eV per cell. Its space-group type is F-43m. The volume comes out at 26.4 Å³/atom.

***

Record 6
Material: AsS
Method: DFT, PBE
State: relaxed

```
16
Lattice="4.918 5.364 0.000 -4.918 5.364 0.000 0.000 2.043 9.327" Properties=species:S:1:pos:R:3 pbc="T T T"
As -2.842 5.529 0.613
As 2.842 7.241 8.714
As 0.973 8.299 5.939
As 0.973 5.492 8.051
As -0.973 4.471 3.388
As -0.973 7.278 1.276
As 2.842 6.551 5.277
As -2.842 6.220 4.050
S 4.261 6.896 6.995
S -1.904 3.674 1.501
S -1.904 8.075 3.163
S 1.904 4.695 6.164
S 1.904 9.097 7.826
S -0.454 6.896 6.995
S -4.261 5.874 2.332
S 0.454 5.874 2.332
```

Values from the calculation:
For the energy of formation from the pure elements, the calculation gives -0.8 eV per formula unit. Its total energy is -72.44 eV per cell. The relative energy among the computed polymorphs is 0.0037 eV per atom. Its space-group type is C2/c. The volume comes out at 30.8 Å³/atom.

***

Record 7
Material: Ba5Ce4ZrO15
Method: DFT, PBE
State: relaxed

```
25
Lattice="4.430 0.000 0.000 0.000 4.437 4.437 0.000 -8.887 13.325" Properties=species:S:1:pos:R:3 pbc="T T T"
O 2.215 -4.515 13.390
O 0.000 -2.265 13.334
O 0.000 -4.459 11.140
O 2.215 -0.010 8.885
O 2.215 0.065 4.372
O 0.000 0.009 6.622
O 2.215 -4.439 8.877
O 2.215 0.000 0.000
O 0.000 -6.767 13.327
O 0.000 -4.452 15.641
O 0.000 2.317 4.435
O 0.000 -4.444 6.662
O 0.000 -2.225 8.881
O 0.000 -2.185 4.428
O 0.000 0.002 2.121
Ba 2.215 2.219 2.219
Ba 2.215 2.327 6.548
Ba 2.215 -6.777 11.214
Ba 2.215 -2.216 6.653
Ba 2.215 -2.234 11.109
Zr 0.000 0.000 0.000
Ce 0.000 0.037 4.401
Ce 0.000 0.013 8.861
Ce 0.000 -4.487 13.361
Ce 0.000 -4.463 8.901
```

Values from the calculation:
The value obtained for the total magnetization is 0.005 μB per cell. For the energy of formation from the pure elements, the calculation gives -89.1 eV per formula unit. Its total energy is -194.86 eV per cell. The relative energy among the computed polymorphs is 0.0291 eV per atom. Its space-group type is Cmmm. The volume comes out at 17.5 Å³/atom.

***

Record 8
Material: LaCeSi4Pd4
Method: DFT, PBE
State: relaxed

```
10
Lattice="-1.194 -4.020 -0.647 4.071 -1.170 -0.244 0.124 -1.618 9.823" Properties=species:S:1:pos:R:3 pbc="T T T"
Si 1.548 -4.022 8.222
Si 0.047 -0.615 3.734
Si 1.453 -2.785 0.710
Si 0.077 -1.003 6.089
Pd 2.129 -1.802 7.266
Pd 2.066 -0.986 2.313
Pd -0.566 -2.411 2.111
Pd -0.504 -3.227 7.065
La 1.501 -3.404 4.466
Ce 0.000 0.000 0.000
```

Values from the calculation:
The value obtained for the total magnetization is 1.097 μB per cell. For the energy of formation from the pure elements, the calculation gives -9.2 eV per formula unit. Its total energy is -62.50 eV per cell. Its space-group type is P4/mmm. The volume comes out at 17.9 Å³/atom.